First-principles (PBE) data for TlInS2 after structural relaxation, as listed in the Materials Project database.

* magnetization: 0.00 Bohr magnetons per cell
* energy: -3.51 eV per atom
* formation enthalpy at 0 K: -0.418 eV per atom

Cell: 4.133 5.090 6.165 Å, 96.20 102.58 103.46°
Sites, in units of the cell vectors:
In  0.765  0.208  0.215
Tl  0.985  0.733  0.798
S  0.359  0.230  0.541
S  0.391  0.829  0.446

***

First-principles (PBE) data for TlIn5S7 after structural relaxation, as listed in the Materials Project database.

* energy: -3.99 eV per atom
* formation enthalpy at 0 K: -0.797 eV per atom

Cell: 3.949 9.246 17.694 Å, 77.75 90.00 90.00°
Sites, in units of the cell vectors:
In  0.250  0.319  0.812
S  0.750  0.943  0.089
In  0.750  0.172  0.468
S  0.750  0.743  0.829
In  0.250  0.145  0.045
In  0.750  0.855  0.955
Tl  0.250  0.974  0.725
S  0.250  0.331  0.532
S  0.750  0.964  0.588
S  0.250  0.665  0.006
S  0.250  0.257  0.171
S  0.750  0.669  0.468
S  0.250  0.036  0.412
S  0.250  0.057  0.911
S  0.750  0.335  0.994
In  0.750  0.434  0.119
In  0.250  0.523  0.398
S  0.750  0.263  0.729
S  0.250  0.614  0.651
In  0.250  0.566  0.881
In  0.750  0.477  0.602
In  0.750  0.681  0.188
S  0.250  0.737  0.271
S  0.750  0.386  0.349
Tl  0.750  0.026  0.275
In  0.250  0.828  0.532

***

First-principles (PBE) data for TlInS2 after structural relaxation, as listed in the Materials Project database.

* energy: -3.86 eV per atom
* formation enthalpy at 0 K: -0.763 eV per atom

Cell: 3.909 3.909 15.032 Å, 90.00 90.00 120.00°
Sites, in units of the cell vectors:
In  0.000  0.000  0.000
S  0.667  0.333  0.404
Tl  0.333  0.667  0.250
In  0.000  0.000  0.500
S  0.333  0.667  0.596
S  0.333  0.667  0.904
Tl  0.667  0.333  0.750
S  0.667  0.333  0.096

***

First-principles (PBE) data for TlInS2 after structural relaxation, as listed in the Materials Project database.

* energy: -3.87 eV per atom
* formation enthalpy at 0 K: -0.776 eV per atom

Cell: 7.886 7.886 15.378 Å, 82.56 82.56 90.06°
Sites, in units of the cell vectors:
Tl  0.773  0.656  0.880
In  0.711  0.089  0.155
Tl  0.656  0.773  0.380
S  0.052  0.948  0.750
Tl  0.344  0.227  0.620
Tl  0.844  0.219  0.617
Tl  0.156  0.781  0.383
In  0.712  0.588  0.155
In  0.289  0.911  0.845
S  0.948  0.574  0.250
In  0.588  0.712  0.655
S  0.137  0.262  0.445
S  0.733  0.363  0.055
Tl  0.227  0.344  0.120
S  0.262  0.137  0.945
S  0.573  0.427  0.750
In  0.911  0.289  0.345
In  0.412  0.288  0.345
S  0.738  0.863  0.055
S  0.426  0.052  0.250
S  0.863  0.738  0.555
S  0.948  0.052  0.250
In  0.288  0.412  0.845
S  0.427  0.573  0.250
S  0.052  0.426  0.750
S  0.363  0.733  0.555
S  0.574  0.948  0.750
Tl  0.219  0.844  0.117
S  0.637  0.267  0.445
Tl  0.781  0.156  0.883
S  0.267  0.637  0.945
In  0.089  0.711  0.655

***

First-principles (PBE) data for TlIn5S8 after structural relaxation, as listed in the Materials Project database.

* magnetization: 0.00 Bohr magnetons per cell
* energy above the most stable polymorph in this dataset: 0.013 eV per atom
* energy: -4.03 eV per atom
* formation enthalpy at 0 K: -0.804 eV per atom

Cell: 4.118 9.387 9.688 Å, 104.80 101.55 90.02°
Sites, in units of the cell vectors:
In  0.632  0.914  0.290
S  0.829  0.532  0.666
S  0.748  0.849  0.521
S  0.061  0.794  0.134
S  0.167  0.469  0.329
Tl  0.535  0.481  0.066
S  0.940  0.205  0.865
S  0.588  0.127  0.175
In  0.721  0.333  0.431
S  0.411  0.874  0.825
In  0.999  0.000  0.998
S  0.242  0.157  0.479
In  0.371  0.083  0.706
In  0.285  0.662  0.576

***

First-principles (PBE) data for TlInS2 after structural relaxation, as listed in the Materials Project database.

* energy: -3.86 eV per atom
* formation enthalpy at 0 K: -0.763 eV per atom

Cell: 3.910 3.910 7.861 Å, 75.60 75.60 60.00°
Sites, in units of the cell vectors:
Tl  0.000  0.000  0.000
S  0.769  0.769  0.692
S  0.231  0.231  0.308
In  0.500  0.500  0.500

***

First-principles (PBE) data for TlInS2 after structural relaxation, as listed in the Materials Project database.

* magnetization: 0.00 Bohr magnetons per cell
* energy: -3.41 eV per atom
* formation enthalpy at 0 K: -0.319 eV per atom

Cell: 4.657 4.657 6.528 Å, 68.00 68.00 81.07°
Sites, in units of the cell vectors:
S  0.512  0.512  0.833
Tl  0.000  0.000  0.000
S  0.488  0.488  0.167
In  0.000  0.000  0.500

***

First-principles (PBE) data for TlIn5S8 after structural relaxation, as listed in the Materials Project database.

* energy above the most stable polymorph in this dataset: 0.000 eV per atom
* energy: -4.04 eV per atom
* formation enthalpy at 0 K: -0.817 eV per atom

Cell: 9.893 9.893 9.353 Å, 77.59 77.59 22.79°
Sites, in units of the cell vectors:
S  0.835  0.835  0.478
S  0.070  0.070  0.215
S  0.415  0.415  0.126
S  0.763  0.763  0.152
In  0.001  0.001  0.999
In  0.711  0.711  0.663
In  0.645  0.645  0.090
In  0.286  0.286  0.336
Tl  0.470  0.470  0.480
S  0.167  0.167  0.522
S  0.585  0.585  0.874
S  0.237  0.237  0.848
In  0.354  0.354  0.911
S  0.929  0.929  0.786

***

First-principles (PBE) data for V6InS8 after structural relaxation, as listed in the Materials Project database.

* energy: -6.95 eV per atom
* formation enthalpy at 0 K: -1.197 eV per atom

Cell: 9.186 9.186 3.237 Å, 90.00 90.00 120.00°
Sites, in units of the cell vectors:
V  0.549  0.843  0.261
S  0.962  0.679  0.762
V  0.041  0.216  0.759
S  0.718  0.038  0.762
In  0.667  0.333  0.369
S  0.000  0.000  0.259
S  0.333  0.667  0.760
V  0.175  0.959  0.759
V  0.157  0.706  0.261
S  0.616  0.630  0.259
S  0.321  0.282  0.762
V  0.784  0.825  0.759
S  0.370  0.986  0.259
V  0.294  0.451  0.261
S  0.014  0.384  0.259

***

First-principles (PBE) data for Y3InS6 after structural relaxation, as listed in the Materials Project database.

* magnetization: 0.00 Bohr magnetons per cell
* energy: -6.37 eV per atom
* formation enthalpy at 0 K: -1.977 eV per atom

Cell: 3.877 13.448 16.607 Å, 90.00 90.00 90.00°
Sites, in units of the cell vectors:
In  0.247  0.500  0.000
S  0.754  0.193  0.481
Y  0.264  0.247  0.611
S  0.246  0.307  0.981
S  0.248  0.392  0.385
Y  0.746  0.536  0.723
S  0.759  0.179  0.717
S  0.768  0.397  0.593
Y  0.264  0.753  0.389
S  0.752  0.892  0.115
Y  0.253  0.191  0.356
S  0.754  0.807  0.519
S  0.249  0.385  0.756
Y  0.254  0.964  0.223
S  0.752  0.108  0.885
Y  0.747  0.309  0.856
S  0.746  0.521  0.894
S  0.254  0.021  0.606
S  0.746  0.479  0.106
S  0.249  0.615  0.244
S  0.768  0.603  0.407
S  0.241  0.679  0.783
Y  0.746  0.464  0.277
S  0.246  0.693  0.019
Y  0.253  0.809  0.644
S  0.232  0.103  0.093
S  0.232  0.897  0.907
S  0.254  0.979  0.394
S  0.751  0.115  0.256
Y  0.736  0.747  0.889
In  0.753  0.000  0.500
S  0.759  0.821  0.283
S  0.751  0.885  0.744
Y  0.736  0.253  0.111
Y  0.254  0.036  0.777
In  0.392  0.500  0.500
In  0.608  0.000  0.000
S  0.241  0.321  0.217
S  0.248  0.608  0.615
Y  0.747  0.691  0.144

***

First-principles (PBE) data for ZnIn2S4 after structural relaxation, as listed in the Materials Project database.

* magnetization: 0.00 Bohr magnetons per cell
* energy: -3.88 eV per atom
* formation enthalpy at 0 K: -0.833 eV per atom

Cell: 3.924 3.924 26.609 Å, 90.00 90.00 120.00°
Sites, in units of the cell vectors:
S  0.333  0.667  0.197
In  0.000  0.000  0.258
S  0.333  0.667  0.697
In  0.333  0.667  0.106
In  0.000  0.000  0.742
S  0.667  0.333  0.572
S  0.333  0.667  0.937
S  0.667  0.333  0.303
S  0.667  0.333  0.803
S  0.333  0.667  0.428
S  0.667  0.333  0.063
Zn  0.333  0.667  0.578
Zn  0.667  0.333  0.422
In  0.667  0.333  0.894

***

First-principles (PBE) data for Zn3In2S6 after structural relaxation, as listed in the Materials Project database.

* magnetization: 0.00 Bohr magnetons per cell
* energy: -3.72 eV per atom
* formation enthalpy at 0 K: -0.893 eV per atom

Cell: 3.906 3.906 18.784 Å, 90.00 90.00 120.00°
Sites, in units of the cell vectors:
Zn  0.667  0.333  0.626
In  0.000  0.000  0.422
In  0.667  0.333  0.048
S  0.333  0.667  0.344
S  0.667  0.333  0.835
S  0.667  0.333  0.181
S  0.333  0.667  0.993
S  0.667  0.333  0.492
Zn  0.333  0.667  0.798
S  0.333  0.667  0.661
Zn  0.333  0.667  0.224